The following is a meta-GGA r2SCAN calculation of an optimized crystal structure of La2Se3, from Materials Project.

Computed properties:
**Crystal system**: tetragonal
**Volume**: 2262.09 Å³/cell
**Final energy**: -1826.17 eV per cell

Structure (CIF):
```
data_La2Se3
_cell_length_a 9.109
_cell_length_b 9.109
_cell_length_c 27.260
_cell_angle_alpha 90.00
_cell_angle_beta 90.00
_cell_angle_gamma 90.00
_space_group_name_H-M_alt 'I -4 2 d'
_space_group_IT_number 122
_space_group_name_Hall 'I -4 2bw'
loop_
_atom_site_label
_atom_site_fract_x
_atom_site_fract_y
_atom_site_fract_z
La1 0.000 0.000 0.166
La2 0.120 0.250 0.625
La3 0.137 0.242 0.289
Se1 0.070 0.176 0.067
Se2 0.072 0.182 0.395
Se3 0.080 0.171 0.734
```